## P
This record from the Materials Project database describes crystalline Sr2Cu2O5 at its relaxed geometry. The functional is PBE.

abc: 5.5465 11.0375 3.7515
angles: 90.00 90.00 90.00
Last column: nearest neighbours and their distance in Å.
Sites, in units of the cell vectors:
Sr: 0.2130 0.1350 0.0000  9 O 2.59-2.84
Sr: 0.2870 0.6350 0.0000  9 O 2.59-2.84
Sr: 0.7130 0.3650 0.0000  9 O 2.59-2.84
Sr: 0.7870 0.8650 0.0000  9 O 2.59-2.84
Cu: 0.2422 0.3774 0.5000  4 O 1.87-1.97
Cu: 0.2578 0.8774 0.5000  4 O 1.87-1.97
Cu: 0.7422 0.1226 0.5000  4 O 1.87-1.97
Cu: 0.7578 0.6226 0.5000  4 O 1.87-1.97
O: 0.0000 0.0000 0.5000  2 Cu 1.97
O: 0.0175 0.7308 0.5000  1 Cu 1.87
O: 0.2071 0.4038 0.0000  2 Cu 1.91
O: 0.2929 0.9038 0.0000  2 Cu 1.91
O: 0.4825 0.2308 0.5000  1 Cu 1.87
O: 0.5000 0.5000 0.5000  2 Cu 1.97
O: 0.5175 0.7692 0.5000  1 Cu 1.87
O: 0.7071 0.0962 0.0000  2 Cu 1.91
O: 0.7929 0.5962 0.0000  2 Cu 1.91
O: 0.9825 0.2692 0.5000  1 Cu 1.87

## Q
This record from the Materials Project database describes crystalline Sr2Cu2O5 at its relaxed geometry. The functional is PBE.

abc: 8.8604 8.8604 8.8604
angles: 52.31 143.71 143.64
Last column: nearest neighbours and their distance in Å.
Sites, in units of the cell vectors:
Sr: 0.0053 0.1094 0.1146  7 O 2.51-2.77
Sr: 0.0053 0.3906 0.3959  7 O 2.51-2.77
Sr: 0.9947 0.6094 0.6041  7 O 2.51-2.77
Sr: 0.9947 0.8906 0.8854  7 O 2.51-2.77
Cu: 0.4737 0.7802 0.1936  4 O 1.85-1.94
Cu: 0.4991 0.4991 0.0000  4 O 1.95-1.96
Cu: 0.4991 0.9991 0.5000  4 O 1.95-1.96
Cu: 0.5866 0.2802 0.8064  4 O 1.85-1.94
O: 0.9998 0.2565 0.7524  2 Cu 1.95-1.96
O: 0.9998 0.7474 0.2433  2 Cu 1.95-1.96
O: 0.4616 0.1318 0.6066  1 Cu 1.85
O: 0.4616 0.3550 0.8298  1 Cu 1.85
O: 0.5041 0.2474 0.2476  2 Cu 1.95-1.96
O: 0.5041 0.7565 0.7567  2 Cu 1.95-1.96
O: 0.5253 0.6318 0.1702  1 Cu 1.85
O: 0.5253 0.8550 0.3934  1 Cu 1.85
O: 0.7158 0.1049 0.1109  2 Cu 1.85-1.94
O: 0.9940 0.6049 0.8891  2 Cu 1.85-1.94

P has the most favorable energy; the next structure is 36 meV/atom above.

## P
This record from the Materials Project database describes crystalline Sr2Cu3O5 at its relaxed geometry. The functional is PBE.

abc: 9.7113 9.7113 9.7113
angles: 159.48 156.52 31.38
Last column: nearest neighbours and their distance in Å.
Sites, in units of the cell vectors:
Sr: 0.1058 0.1058 0.0000  8 O 2.63-2.74
Sr: 0.8942 0.8942 0.0000  8 O 2.63-2.74
Cu: 0.2879 0.2879 0.0000  5 O 1.98-2.16
Cu: 0.5000 0.5000 0.0000  4 O 1.94-1.98
Cu: 0.7121 0.7121 0.0000  5 O 1.98-2.16
O: 0.0000 0.5000 0.5000  2 Cu 1.98
O: 0.2192 0.7192 0.5000  4 Cu 1.98-2.16
O: 0.3962 0.3962 0.0000  2 Cu 1.94-2.02
O: 0.6038 0.6038 0.0000  2 Cu 1.94-2.02
O: 0.7808 0.2808 0.5000  4 Cu 1.98-2.16

## Q
This record from the Materials Project database describes crystalline Sr2Cu3O5 at its relaxed geometry. The functional is PBE.

abc: 9.9903 9.9903 3.5103
angles: 90.00 90.00 157.23
Last column: nearest neighbours and their distance in Å.
Sites, in units of the cell vectors:
Sr: 0.1010 0.8990 0.0000  8 O 2.64-2.66
Sr: 0.8990 0.1010 0.0000  8 O 2.64-2.66
Cu: 0.3010 0.6990 0.5000  4 O 1.91-1.97
Cu: 0.5000 0.5000 0.5000  4 O 1.97-1.99
Cu: 0.6990 0.3010 0.5000  4 O 1.91-1.97
O: 0.0000 0.0000 0.5000  2 Cu 1.97
O: 0.2031 0.7969 0.5000  3 Cu 1.92-1.97
O: 0.3984 0.6016 0.5000  2 Cu 1.91-1.99
O: 0.6016 0.3984 0.5000  2 Cu 1.91-1.99
O: 0.7969 0.2031 0.5000  3 Cu 1.92-1.97

Q has the most favorable energy; the next structure is 53 meV/atom above.

## P
This record from the Materials Project database describes crystalline Zn4Cu5Te3O18 at its relaxed geometry. The functional is PBE.

abc: 8.7309 8.7309 10.5436
angles: 93.36 93.36 60.86
Last column: nearest neighbours and their distance in Å.
Sites, in units of the cell vectors:
Zn: 0.0046 0.5920 0.8243  4 O 1.91-2.01
Zn: 0.0216 0.0216 0.2992  5 O 1.94-2.14
Zn: 0.2821 0.3136 0.3243  4 O 1.91-2.01
Zn: 0.4080 0.9954 0.1757  4 O 1.91-2.01
Zn: 0.6639 0.2900 0.2000  5 O 1.94-2.15
Zn: 0.6864 0.7179 0.6757  4 O 1.91-2.01
Zn: 0.7100 0.3361 0.8000  5 O 1.94-2.15
Zn: 0.9784 0.9784 0.7008  5 O 1.94-2.14
Cu: 0.0414 0.6588 0.4893  3 O 1.92-2.12
Cu: 0.1616 0.8384 0.0000  6 O 2.05-2.25
Cu: 0.2129 0.1097 0.8017  4 O 1.96-2.13
Cu: 0.3412 0.9586 0.5107  3 O 1.92-2.12
Cu: 0.3479 0.3572 0.9890  3 O 1.91-2.12
Cu: 0.4867 0.1924 0.6986  3 O 1.95-2.13
Cu: 0.5270 0.4730 0.5000  6 O 2.07-2.25
Cu: 0.6428 0.6521 0.0110  3 O 1.91-2.12
Cu: 0.8076 0.5133 0.3014  3 O 1.95-2.13
Cu: 0.8903 0.7871 0.1983  4 O 1.96-2.13
Te: 0.0028 0.3192 0.5537  6 O 1.94-2.01
Te: 0.0098 0.3133 0.0532  6 O 1.95-2.00
Te: 0.3434 0.6557 0.7492  6 O 1.96-1.97
Te: 0.3443 0.6566 0.2508  6 O 1.96-1.97
Te: 0.6808 0.9972 0.4463  6 O 1.94-2.01
Te: 0.6867 0.9902 0.9468  6 O 1.95-2.00
O: 0.0795 0.4278 0.4261  1 Zn 1.91, 1 Cu 1.96, 1 Te 2.01
O: 0.1027 0.1007 0.4516  1 Cu 1.92, 1 Zn 1.94, 1 Te 1.95
O: 0.1055 0.0913 0.9538  2 Cu 1.96-2.10, 1 Te 1.96
O: 0.1049 0.7463 0.8082  2 Zn 1.95-2.13, 1 Te 1.96
O: 0.1078 0.7477 0.3159  1 Te 1.97, 1 Cu 2.10, 1 Zn 2.14
O: 0.1182 0.3918 0.9277  1 Zn 1.91, 1 Cu 1.95, 1 Te 2.00
O: 0.2332 0.2457 0.1471  1 Te 1.96, 2 Zn 1.99-2.01
O: 0.2367 0.2044 0.6417  1 Te 1.98, 2 Cu 1.99-2.18
O: 0.2523 0.8922 0.6841  1 Te 1.97, 1 Cu 2.10, 1 Zn 2.14
O: 0.2537 0.8951 0.1918  2 Zn 1.95-2.13, 1 Te 1.96
O: 0.2597 0.6027 0.0867  1 Te 1.96, 2 Cu 2.05-2.12
O: 0.2885 0.5719 0.5855  1 Te 1.96, 2 Cu 2.07-2.12
O: 0.3973 0.7403 0.9133  1 Te 1.96, 2 Cu 2.05-2.12
O: 0.4281 0.7115 0.4145  1 Te 1.96, 2 Cu 2.07-2.12
O: 0.4335 0.4175 0.3084  2 Zn 1.95-2.13, 1 Te 1.96
O: 0.4355 0.4191 0.8144  1 Te 1.97, 1 Cu 2.13, 1 Zn 2.15
O: 0.4547 0.1030 0.8557  2 Cu 1.96-2.13, 1 Te 1.98
O: 0.4569 0.0625 0.3531  1 Te 1.97, 2 Zn 2.00-2.01
O: 0.5722 0.9205 0.5739  1 Zn 1.91, 1 Cu 1.96, 1 Te 2.01
O: 0.5809 0.5645 0.1856  1 Te 1.97, 1 Cu 2.13, 1 Zn 2.15
O: 0.5824 0.2199 0.5447  2 Cu 1.95-2.10, 1 Te 1.96
O: 0.5825 0.5665 0.6916  2 Zn 1.95-2.13, 1 Te 1.96
O: 0.5842 0.2094 0.0483  1 Cu 1.91, 1 Zn 1.94, 1 Te 1.95
O: 0.6082 0.8818 0.0723  1 Zn 1.91, 1 Cu 1.95, 1 Te 2.00
O: 0.7543 0.7668 0.8529  1 Te 1.96, 2 Zn 1.99-2.01
O: 0.7652 0.0813 0.8148  1 Te 1.95, 2 Zn 2.05
O: 0.7680 0.0791 0.3152  1 Te 1.94, 2 Zn 2.03-2.05
O: 0.7801 0.4176 0.4553  2 Cu 1.95-2.10, 1 Te 1.96
O: 0.7906 0.4158 0.9517  1 Cu 1.91, 1 Zn 1.94, 1 Te 1.95
O: 0.7956 0.7633 0.3583  1 Te 1.98, 2 Cu 1.99-2.18
O: 0.8970 0.5453 0.1443  2 Cu 1.96-2.13, 1 Te 1.98
O: 0.8993 0.8973 0.5484  1 Cu 1.92, 1 Zn 1.94, 1 Te 1.95
O: 0.9087 0.8945 0.0462  2 Cu 1.96-2.10, 1 Te 1.96
O: 0.9187 0.2348 0.1852  1 Te 1.95, 2 Zn 2.05
O: 0.9209 0.2320 0.6848  1 Te 1.94, 2 Zn 2.03-2.05
O: 0.9375 0.5431 0.6469  1 Te 1.97, 2 Zn 2.00-2.01

## Q
This record from the Materials Project database describes crystalline Zn4Cu5Te3O18 at its relaxed geometry. The functional is PBE.

abc: 8.7532 8.7532 10.5229
angles: 95.38 95.38 61.11
Last column: nearest neighbours and their distance in Å.
Sites, in units of the cell vectors:
Zn: 0.1380 0.8232 0.9614  4 O 1.94-2.08
Zn: 0.1606 0.4353 0.0816  4 O 1.94-2.02
Zn: 0.1768 0.8620 0.5386  4 O 1.94-2.08
Zn: 0.4353 0.1606 0.5816  4 O 1.94-2.02
Zn: 0.5647 0.8394 0.4184  4 O 1.94-2.02
Zn: 0.8232 0.1380 0.4614  4 O 1.94-2.08
Zn: 0.8394 0.5647 0.9184  4 O 1.94-2.02
Zn: 0.8620 0.1768 0.0386  4 O 1.94-2.08
Cu: 0.0296 0.6434 0.4469  3 O 1.94-2.06
Cu: 0.1858 0.5138 0.7358  4 O 1.92-2.14
Cu: 0.3304 0.6696 0.2500  6 O 2.03-2.16
Cu: 0.3566 0.9704 0.0531  3 O 1.94-2.06
Cu: 0.4862 0.8142 0.7642  4 O 1.92-2.14
Cu: 0.5138 0.1858 0.2358  4 O 1.92-2.14
Cu: 0.6434 0.0296 0.9469  3 O 1.94-2.06
Cu: 0.6696 0.3304 0.7500  6 O 2.03-2.16
Cu: 0.8142 0.4862 0.2642  4 O 1.92-2.14
Cu: 0.9704 0.3566 0.5531  3 O 1.94-2.06
Te: 0.1501 0.1659 0.8017  6 O 1.94-2.05
Te: 0.1659 0.1501 0.3017  6 O 1.94-2.05
Te: 0.5000 0.5000 0.0000  6 O 1.96-1.98
Te: 0.5000 0.5000 0.5000  6 O 1.96-1.98
Te: 0.8341 0.8499 0.6983  6 O 1.94-2.05
Te: 0.8499 0.8341 0.1983  6 O 1.94-2.05
O: 0.0462 0.3884 0.3875  1 Te 1.99, 3 Cu 2.01-2.20
O: 0.0544 0.7505 0.8019  1 Cu 1.92, 1 Zn 1.94, 1 Te 1.96
O: 0.0714 0.0795 0.9313  1 Te 1.94, 2 Zn 2.01-2.08
O: 0.0720 0.7322 0.2988  2 Cu 1.94-2.16, 1 Te 1.95
O: 0.0795 0.0714 0.4313  1 Te 1.94, 2 Zn 2.01-2.08
O: 0.0900 0.3861 0.9010  1 Te 1.96, 2 Zn 2.00-2.02
O: 0.2207 0.2768 0.6708  1 Zn 1.94, 1 Cu 2.01, 1 Te 2.05
O: 0.2495 0.9456 0.6981  1 Cu 1.92, 1 Zn 1.94, 1 Te 1.96
O: 0.2569 0.5998 0.5508  1 Te 1.98, 1 Cu 2.06, 1 Zn 2.06
O: 0.2678 0.9280 0.2012  2 Cu 1.94-2.16, 1 Te 1.95
O: 0.2722 0.5836 0.0755  1 Zn 1.97, 1 Te 1.98, 1 Cu 2.03
O: 0.2768 0.2207 0.1708  1 Zn 1.94, 1 Cu 2.01, 1 Te 2.05
O: 0.3861 0.0900 0.4010  1 Te 1.96, 2 Zn 2.00-2.02
O: 0.3884 0.0462 0.8875  1 Te 1.99, 3 Cu 2.01-2.20
O: 0.4002 0.7431 0.9492  1 Te 1.98, 1 Cu 2.06, 1 Zn 2.06
O: 0.4164 0.7278 0.4245  1 Zn 1.97, 1 Te 1.98, 1 Cu 2.03
O: 0.4200 0.4342 0.8345  1 Te 1.96, 2 Cu 2.03-2.16
O: 0.4342 0.4200 0.3345  1 Te 1.96, 2 Cu 2.03-2.16
O: 0.5658 0.5800 0.6655  1 Te 1.96, 2 Cu 2.03-2.16
O: 0.5800 0.5658 0.1655  1 Te 1.96, 2 Cu 2.03-2.16
O: 0.5836 0.2722 0.5755  1 Zn 1.97, 1 Te 1.98, 1 Cu 2.03
O: 0.5998 0.2569 0.0508  1 Te 1.98, 1 Cu 2.06, 1 Zn 2.06
O: 0.6116 0.9538 0.1125  1 Te 1.99, 3 Cu 2.01-2.20
O: 0.6139 0.9100 0.5990  1 Te 1.96, 2 Zn 2.00-2.02
O: 0.7232 0.7793 0.8292  1 Zn 1.94, 1 Cu 2.01, 1 Te 2.05
O: 0.7278 0.4164 0.9245  1 Zn 1.97, 1 Te 1.98, 1 Cu 2.03
O: 0.7322 0.0720 0.7988  2 Cu 1.94-2.16, 1 Te 1.95
O: 0.7431 0.4002 0.4492  1 Te 1.98, 1 Cu 2.06, 1 Zn 2.06
O: 0.7505 0.0544 0.3019  1 Cu 1.92, 1 Zn 1.94, 1 Te 1.96
O: 0.7793 0.7232 0.3292  1 Zn 1.94, 1 Cu 2.01, 1 Te 2.05
O: 0.9100 0.6139 0.0990  1 Te 1.96, 2 Zn 2.00-2.02
O: 0.9205 0.9286 0.5687  1 Te 1.94, 2 Zn 2.01-2.08
O: 0.9280 0.2678 0.7012  2 Cu 1.94-2.16, 1 Te 1.95
O: 0.9286 0.9205 0.0687  1 Te 1.94, 2 Zn 2.01-2.08
O: 0.9456 0.2495 0.1981  1 Cu 1.92, 1 Zn 1.94, 1 Te 1.96
O: 0.9538 0.6116 0.6125  1 Te 1.99, 3 Cu 2.01-2.20

Q has the most favorable energy; the next structure is 13 meV/atom above.

## P
This record from the Materials Project database describes crystalline Ti4Cu2O at its relaxed geometry. The functional is PBE.

abc: 8.1095 8.1095 8.1095
angles: 60.00 60.00 60.00
Last column: nearest neighbours and their distance in Å.
Sites, in units of the cell vectors:
Ti: 0.0652 0.0652 0.4348  2 O 2.13
Ti: 0.0652 0.4348 0.0652  2 O 2.13
Ti: 0.0652 0.4348 0.4348  2 O 2.13
Ti: 0.1799 0.1799 0.8201  2 O 2.13
Ti: 0.1799 0.8201 0.1799  2 O 2.13
Ti: 0.1799 0.8201 0.8201  2 O 2.13
Ti: 0.4165 0.4165 0.4165  3 Cu 2.55, 6 Ti 2.71
Ti: 0.4165 0.4165 0.7505  3 Cu 2.55, 6 Ti 2.71
Ti: 0.4165 0.7505 0.4165  3 Cu 2.55, 6 Ti 2.71
Ti: 0.4348 0.0652 0.0652  2 O 2.13
Ti: 0.4348 0.0652 0.4348  2 O 2.13
Ti: 0.4348 0.4348 0.0652  2 O 2.13
Ti: 0.7505 0.4165 0.4165  3 Cu 2.55, 6 Ti 2.71
Ti: 0.8201 0.1799 0.1799  2 O 2.13
Ti: 0.8201 0.1799 0.8201  2 O 2.13
Ti: 0.8201 0.8201 0.1799  2 O 2.13
Cu: 0.1126 0.6291 0.6291  3 Cu 2.43, 3 Ti 2.55
Cu: 0.4958 0.8347 0.8347  3 Cu 2.43, 3 Ti 2.69
Cu: 0.6291 0.1126 0.6291  3 Cu 2.43, 3 Ti 2.55
Cu: 0.6291 0.6291 0.1126  3 Cu 2.43, 3 Ti 2.55
Cu: 0.6291 0.6291 0.6291  3 Cu 2.43, 3 Ti 2.55
Cu: 0.8347 0.4958 0.8347  3 Cu 2.43, 3 Ti 2.69
Cu: 0.8347 0.8347 0.4958  3 Cu 2.43, 3 Ti 2.69
Cu: 0.8347 0.8347 0.8347  3 Cu 2.43, 3 Ti 2.69
O: 0.1254 0.1254 0.1254  6 Ti 2.13
O: 0.1254 0.1254 0.6236  6 Ti 2.13
O: 0.1254 0.6236 0.1254  6 Ti 2.13
O: 0.6236 0.1254 0.1254  6 Ti 2.13

## Q
This record from the Materials Project database describes crystalline Ti4Cu2O at its relaxed geometry. The functional is PBE.

abc: 8.0943 8.0943 8.0943
angles: 60.00 60.00 60.00
Last column: nearest neighbours and their distance in Å.
Sites, in units of the cell vectors:
Ti: 0.0000 0.0000 0.0000  6 Cu 2.48
Ti: 0.0000 0.0000 0.5000  6 Cu 2.48
Ti: 0.0000 0.5000 0.0000  6 Cu 2.48
Ti: 0.1943 0.1943 0.5557  2 O 2.12
Ti: 0.1943 0.5557 0.1943  2 O 2.12
Ti: 0.1943 0.5557 0.5557  2 O 2.12
Ti: 0.4443 0.4443 0.8057  2 O 2.12
Ti: 0.4443 0.8057 0.4443  2 O 2.12
Ti: 0.4443 0.8057 0.8057  2 O 2.12
Ti: 0.5000 0.0000 0.0000  6 Cu 2.48
Ti: 0.5557 0.1943 0.1943  2 O 2.12
Ti: 0.5557 0.1943 0.5557  2 O 2.12
Ti: 0.5557 0.5557 0.1943  2 O 2.12
Ti: 0.8057 0.4443 0.4443  2 O 2.12
Ti: 0.8057 0.4443 0.8057  2 O 2.12
Ti: 0.8057 0.8057 0.4443  2 O 2.12
Cu: 0.1253 0.7916 0.7916  6 Ti 2.48-2.70, 3 Cu 2.70
Cu: 0.2084 0.2084 0.2084  6 Ti 2.48-2.70, 3 Cu 2.70
Cu: 0.2084 0.2084 0.8747  6 Ti 2.48-2.70, 3 Cu 2.70
Cu: 0.2084 0.8747 0.2084  6 Ti 2.48-2.70, 3 Cu 2.70
Cu: 0.7916 0.1253 0.7916  6 Ti 2.48-2.70, 3 Cu 2.70
Cu: 0.7916 0.7916 0.1253  6 Ti 2.48-2.70, 3 Cu 2.70
Cu: 0.7916 0.7916 0.7916  6 Ti 2.48-2.70, 3 Cu 2.70
Cu: 0.8747 0.2084 0.2084  6 Ti 2.48-2.70, 3 Cu 2.70
O: 0.0000 0.5000 0.5000  6 Ti 2.12
O: 0.5000 0.0000 0.5000  6 Ti 2.12
O: 0.5000 0.5000 0.0000  6 Ti 2.12
O: 0.5000 0.5000 0.5000  6 Ti 2.12

Q has the most favorable energy; the next structure is 123 meV/atom above.